[1]
DFT (PBE-GGA) results for a relaxed structure of TeMoWSeS2.

```
data_TeMoWSeS2
_space_group_name_H-M_alt 'P 1'
_space_group_IT_number 1
_cell_length_a 3.309
_cell_length_b 3.309
_cell_length_c 37.615
_cell_angle_alpha 90.00
_cell_angle_beta 90.00
_cell_angle_gamma 120.00
loop_
_space_group_symop_operation_xyz
'x,y,z'
loop_
_atom_site_label
_atom_site_fract_x
_atom_site_fract_y
_atom_site_fract_z
Te1 0.333 0.667 0.709
Te2 0.333 0.667 0.606
Mo1 0.333 0.667 0.094
Mo2 0.667 0.333 0.282
W1 0.333 0.667 0.470
W2 0.667 0.333 0.658
Se1 0.667 0.333 0.049
Se2 0.667 0.333 0.139
S1 0.333 0.667 0.322
S2 0.667 0.333 0.429
S3 0.667 0.333 0.510
S4 0.333 0.667 0.241
```

Summary:
Excess energy over the best structure of this formula in the dataset: 38 meV per atom
Energy of formation: -722.4 meV/atom
Volume: 356.7 Å³/cell

***

[2]
DFT (PBE-GGA) results for a relaxed structure of Ba2LaBiO6.

```
data_Ba2LaBiO6
_space_group_name_H-M_alt 'P 1'
_space_group_IT_number 1
_cell_length_a 8.934
_cell_length_b 8.934
_cell_length_c 8.934
_cell_angle_alpha 90.00
_cell_angle_beta 90.00
_cell_angle_gamma 90.00
loop_
_space_group_symop_operation_xyz
'x,y,z'
loop_
_atom_site_label
_atom_site_fract_x
_atom_site_fract_y
_atom_site_fract_z
Ba1 0.500 0.500 0.500
Ba2 0.000 0.000 0.000
Ba3 0.000 0.000 0.500
Ba4 0.000 0.500 0.000
Ba5 0.500 0.000 0.000
Ba6 0.500 0.500 0.000
Ba7 0.500 0.000 0.500
Ba8 0.000 0.500 0.500
La1 0.250 0.250 0.250
La2 0.250 0.750 0.750
La3 0.750 0.250 0.750
La4 0.750 0.750 0.250
Bi1 0.750 0.750 0.750
Bi2 0.750 0.250 0.250
Bi3 0.250 0.750 0.250
Bi4 0.250 0.250 0.750
O1 0.224 0.280 0.512
O2 0.224 0.720 0.488
O3 0.776 0.280 0.488
O4 0.776 0.720 0.512
O5 0.280 0.512 0.224
O6 0.720 0.488 0.224
O7 0.280 0.488 0.776
O8 0.720 0.512 0.776
O9 0.512 0.224 0.280
O10 0.488 0.224 0.720
O11 0.488 0.776 0.280
O12 0.512 0.776 0.720
O13 0.276 0.220 0.988
O14 0.276 0.780 0.012
O15 0.724 0.220 0.012
O16 0.724 0.780 0.988
O17 0.220 0.988 0.276
O18 0.780 0.012 0.276
O19 0.220 0.012 0.724
O20 0.780 0.988 0.724
O21 0.988 0.276 0.220
O22 0.012 0.276 0.780
O23 0.012 0.724 0.220
O24 0.988 0.724 0.780
```

Summary:
Energy of formation: -2774.6 meV/atom
Volume: 713.1 Å³/cell